The following is a PBE-GGA calculation of a relaxed structure of CsAu2F7, from the Materials Project database.

abc: 8.042 8.042 7.623
angles: 66.56 66.56 87.15
Positions (direct):
Cs 0.309 0.691 0.250
Cs 0.691 0.309 0.750
Au 0.087 0.285 0.144
Au 0.715 0.913 0.356
Au 0.913 0.715 0.856
Au 0.285 0.087 0.644
F 0.908 0.814 0.448
F 0.668 0.598 0.961
F 0.814 0.908 0.948
F 0.520 0.013 0.266
F 0.186 0.092 0.052
F 0.480 0.987 0.734
F 0.822 0.178 0.250
F 0.987 0.480 0.234
F 0.013 0.520 0.766
F 0.332 0.402 0.039
F 0.092 0.186 0.552
F 0.402 0.332 0.539
F 0.178 0.822 0.750
F 0.598 0.668 0.461

Calculated values
The value obtained for the MP2020-corrected energy is -3.862 eV/atom. The value obtained for the calculated formation energy is -17.773 eV/f.u. As for the space group: No. 15.